Record 1
Entry from the Materials Project database: a relaxed structure of BaSnN2 (GGA-PBE).

```
BaSnN2
1.0
-2.0306 -6.8628 -1.1890
2.0444 -12.5762 -3.0294
1.1342 -1.6676 7.6884
N Sn Ba
8 4 4
Direct
0.0000 0.5961 0.6119
0.5000 0.6000 0.7500
0.5000 0.1000 0.7500
0.0000 0.0961 0.8881
0.5000 0.4000 0.2500
0.0000 0.9039 0.1119
0.0000 0.4039 0.3881
0.5000 0.9000 0.2500
0.0000 0.4362 0.6515
0.0000 0.9362 0.8485
0.0000 0.0638 0.1515
0.0000 0.5638 0.3485
0.0000 0.3218 0.0840
0.0000 0.6782 0.9160
0.0000 0.1782 0.5840
0.0000 0.8218 0.4160
```

SG: No. 64
Total magnetization, μB per formula unit: 0.000
Electronic total energy, eV per atom: -5.856
DFT formation energy, eV per atom: -0.386

***

Record 2
Entry from the Materials Project database: a relaxed structure of KSn (GGA-PBE).

```
KSn
1.0
-5.7616 5.7616 9.4467
5.7616 -5.7616 9.4467
5.7616 5.7616 -9.4467
K Sn
16 16
Direct
0.6218 0.1218 0.7436
0.1250 0.0125 0.3875
0.6250 0.2375 0.1125
0.8718 0.6282 0.0000
0.4875 0.3750 0.6125
0.9875 0.3750 0.1125
0.1282 0.1282 0.7564
0.7625 0.8750 0.3875
0.8782 0.6218 0.5000
0.1250 0.5125 0.8875
0.3718 0.3718 0.2436
0.2625 0.8750 0.8875
0.6250 0.7375 0.6125
0.1218 0.3782 0.5000
0.6282 0.8718 0.0000
0.3782 0.8782 0.2564
0.0806 0.7588 0.4520
0.5088 0.5568 0.1781
0.8713 0.1932 0.4520
0.8787 0.0568 0.0480
0.7412 0.4194 0.5480
0.5806 0.1287 0.3219
0.3713 0.9194 0.6781
0.3787 0.3306 0.8219
0.3068 0.6287 0.5480
0.9432 0.9912 0.8219
0.1694 0.1213 0.1781
0.6694 0.4912 0.0480
0.8068 0.2588 0.6781
0.0088 0.8306 0.9520
0.4432 0.6213 0.9520
0.2412 0.6932 0.3219
```

SG: No. 142
Electronic total energy, eV per atom: -2.851
DFT formation energy, eV per atom: -0.291

***

Record 3
Entry from the Materials Project database: a relaxed structure of Li2VFeS4 (GGA-PBE).

```
Li2VFeS4
1.0
-3.2068 0.8827 -0.6316
1.7082 -1.8851 -2.2339
-3.8184 -9.9519 5.4783
V S Li Fe
1 4 2 1
Direct
0.0000 0.0000 0.5000
0.3333 0.6667 0.6169
0.3333 0.6667 0.0995
0.6667 0.3333 0.9005
0.6667 0.3333 0.3831
0.0000 0.0000 0.2417
0.0000 0.0000 0.7583
0.0000 0.0000 0.0000
```

SG: No. 164
Total magnetization, μB per formula unit: 2.822
Electronic total energy, eV per atom: -5.628
DFT formation energy, eV per atom: -1.140

***

Record 4
Entry from the Materials Project database: a relaxed structure of Ag2TeO6 (GGA-PBE).

```
Ag2TeO6
1.0
8.0413 2.7773 0.0072
0.0073 2.7952 6.1612
8.0535 0.0198 6.1669
Te O Ag
2 12 4
Direct
0.9838 0.0208 0.0207
0.2292 0.2771 0.2649
0.6209 0.3594 0.9287
0.8795 0.2540 0.5265
0.7218 0.9090 0.3702
0.8707 0.6479 0.1529
0.7047 0.9864 0.0823
0.4572 0.5712 0.1366
0.1122 0.4152 0.7926
0.3194 0.1589 0.6293
0.2763 0.4820 0.9965
0.2532 0.0046 0.9723
0.1678 0.0253 0.5432
0.0968 0.9234 0.3781
0.4692 0.5746 0.3580
0.8923 0.6543 0.7782
0.6189 0.2365 0.5520
0.6970 0.6577 0.6302
```

SG: No. 1
Total magnetization, μB per formula unit: 0.000
Electronic total energy, eV per atom: -4.457
Excess energy over the best structure of this formula in the dataset, meV/atom: 0
DFT formation energy, eV per atom: -0.637

***

Record 5
Entry from the Materials Project database: a relaxed structure of BaPdI4O12 (GGA-PBE).

```
BaPdI4O12
1.0
6.0019 0.0026 -0.4614
-3.0834 6.5597 -1.9874
-0.0264 -0.0308 8.1808
O I Pd Ba
12 4 1 1
Direct
0.0582 0.1386 0.8452
0.6096 0.6831 0.5265
0.8420 0.0859 0.3162
0.3755 0.9530 0.1029
0.4497 0.3897 0.1382
0.6574 0.3447 0.6324
0.7207 0.8062 0.9793
0.3225 0.9545 0.4568
0.1428 0.5337 0.9867
0.2006 0.4503 0.6392
0.5066 0.0507 0.7929
0.1167 0.5290 0.3447
0.6352 0.0881 0.6013
0.3324 0.4420 0.4435
0.3307 0.3847 0.9247
0.7120 0.0471 0.0931
0.2560 0.7416 0.2261
0.0255 0.7438 0.7544
```

SG: No. 1
Total magnetization, μB per formula unit: 0.001
Electronic total energy, eV per atom: -4.734
DFT formation energy, eV per atom: -1.161

***

Record 6
Entry from the Materials Project database: a relaxed structure of SrTa2O6 (GGA-PBE).

```
SrTa2O6
1.0
-1.4608 -3.6557 4.0894
0.9226 -5.8687 -4.9168
10.7143 -0.8703 3.0493
O Sr Ta
24 4 8
Direct
0.1366 0.2500 0.8704
0.2811 0.5333 0.5238
0.7811 0.4667 0.9762
0.1432 0.9520 0.2854
0.2811 0.9667 0.5238
0.3568 0.5480 0.7854
0.9704 0.7500 0.8545
0.7189 0.4667 0.4762
0.1432 0.5480 0.2854
0.2189 0.5333 0.0238
0.5296 0.7500 0.3545
0.0296 0.2500 0.1455
0.4704 0.2500 0.6455
0.2189 0.9667 0.0238
0.8634 0.7500 0.1296
0.6432 0.0480 0.2146
0.7811 0.0333 0.9762
0.6432 0.4520 0.2146
0.7189 0.0333 0.4762
0.8568 0.4520 0.7146
0.3568 0.9520 0.7854
0.8568 0.0480 0.7146
0.3634 0.2500 0.3704
0.6366 0.7500 0.6296
0.9617 0.7500 0.4600
0.5383 0.7500 0.9600
0.4617 0.2500 0.0400
0.0383 0.2500 0.5400
0.5347 0.5043 0.6421
0.0347 0.0043 0.8579
0.4653 0.4957 0.3579
0.5347 0.9957 0.6421
0.9653 0.5043 0.1421
0.4653 0.0043 0.3579
0.0347 0.4957 0.8579
0.9653 0.9957 0.1421
```

SG: No. 62
Electronic total energy, eV per atom: -9.153
DFT formation energy, eV per atom: -3.490

***

Record 7
Entry from the Materials Project database: a relaxed structure of KAsO2F4 (GGA-PBE).

```
KAsO2F4
1.0
4.8285 0.3622 1.2543
1.5274 -6.1744 1.5079
4.4174 -1.1153 -6.7099
O F As K
4 8 2 2
Direct
0.4954 0.8293 0.5485
0.0439 0.3293 0.4515
0.5046 0.1707 0.4515
0.9561 0.6707 0.5485
0.5294 0.5024 0.7434
0.4706 0.4976 0.2566
0.6988 0.1530 0.1056
0.7272 0.9976 0.7434
0.8044 0.6530 0.8944
0.1956 0.3470 0.1056
0.3012 0.8470 0.8944
0.2728 0.0024 0.2566
0.6344 0.7500 0.7311
0.3656 0.2500 0.2689
0.8975 0.7500 0.2051
0.1025 0.2500 0.7949
```

SG: No. 15
Total magnetization, μB per formula unit: 2.000
Electronic total energy, eV per atom: -4.547
Excess energy over the best structure of this formula in the dataset, meV/atom: 0
DFT formation energy, eV per atom: -2.034

***

Record 8
Entry from the Materials Project database: a relaxed structure of Ca65Ga24Sn19 (GGA-PBE).

```
Ca65Ga24Sn19
1.0
-8.1230 -8.1230 0.0000
0.0000 8.1230 -8.1230
16.2586 -16.2586 -16.2586
Ca Ga Sn
65 24 19
Direct
0.2274 0.4548 0.2719
0.7768 0.8884 0.3876
0.8269 0.1731 0.0443
0.4448 0.2224 0.7224
0.4393 0.5607 0.0615
0.6667 0.3333 0.4636
0.4927 0.9855 0.3759
0.6662 0.6665 0.8335
0.1739 0.3478 0.9574
0.3461 0.1731 0.0443
0.0000 0.0000 0.0015
0.5070 0.0141 0.6232
0.6667 0.3333 0.2036
0.1214 0.5607 0.0615
0.0003 0.3338 0.8335
0.4927 0.5073 0.3759
0.0005 0.6669 0.4998
0.0000 0.0000 0.8698
0.6521 0.6667 0.1667
0.2274 0.7726 0.2719
0.6522 0.8261 0.9574
0.3333 0.3479 0.1667
0.3331 0.3336 0.4998
0.5070 0.4930 0.6232
0.8891 0.7782 0.6109
0.1739 0.8261 0.9574
0.1116 0.8884 0.3876
0.6667 0.3333 0.3318
0.0145 0.3479 0.1667
0.3333 0.6667 0.5362
0.0003 0.6665 0.8335
0.6664 0.6669 0.4998
0.0000 0.0000 0.1297
0.5550 0.1101 0.9458
0.3331 0.9995 0.4998
0.8891 0.1109 0.6109
0.3335 0.9997 0.8335
0.6667 0.3333 0.8342
0.0145 0.5073 0.3759
0.0000 0.0000 0.4991
0.0145 0.6667 0.1667
0.8397 0.1603 0.2890
0.8899 0.4450 0.9458
0.1116 0.2232 0.3876
0.7776 0.2224 0.7224
0.6664 0.9995 0.4998
0.8269 0.6539 0.0443
0.1596 0.3192 0.7101
0.7776 0.5552 0.7224
0.8397 0.6794 0.2890
0.3333 0.6667 0.6667
0.0005 0.3336 0.4998
0.3333 0.9855 0.1667
0.2218 0.1109 0.6109
0.5452 0.7726 0.2719
0.9859 0.4930 0.6232
0.6808 0.8404 0.7101
0.3335 0.3338 0.8335
0.6662 0.9997 0.8335
0.6521 0.9855 0.1667
0.3206 0.1603 0.2890
0.5550 0.4450 0.9458
0.4393 0.8786 0.0615
0.1596 0.8404 0.7101
0.3333 0.6667 0.7971
0.9213 0.8426 0.7696
0.5876 0.1753 0.1031
0.4121 0.5879 0.8966
0.7454 0.4908 0.5637
0.0790 0.9210 0.2302
0.4909 0.7454 0.4367
0.8247 0.4124 0.1031
0.2546 0.5091 0.4367
0.3333 0.6667 0.3574
0.0790 0.1581 0.2302
0.5092 0.2546 0.5637
0.3333 0.6667 0.9759
0.0000 0.0000 0.3089
0.1574 0.0787 0.7696
0.7454 0.2546 0.5637
0.1758 0.5879 0.8966
0.2546 0.7454 0.4367
0.4121 0.8242 0.8966
0.5876 0.4124 0.1031
0.6667 0.3333 0.0244
0.0000 0.0000 0.6906
0.9213 0.0787 0.7696
0.8419 0.9210 0.2302
0.6667 0.3333 0.6427
0.8549 0.7098 0.9264
0.1887 0.3773 0.5946
0.3765 0.1882 0.4069
0.1412 0.2824 0.0695
0.1412 0.8588 0.0695
0.6227 0.8113 0.5946
0.7176 0.8588 0.0695
0.8118 0.6235 0.4069
0.4780 0.5220 0.7387
0.9490 0.4745 0.2638
0.0440 0.5220 0.7387
0.8118 0.1882 0.4069
0.4780 0.9560 0.7387
0.8549 0.1451 0.9264
0.5255 0.4745 0.2638
0.3333 0.6667 0.1667
0.2902 0.1451 0.9264
0.1887 0.8113 0.5946
0.5255 0.0510 0.2638
```

SG: No. 164
Total magnetization, μB per formula unit: 0.001
Electronic total energy, eV per atom: -3.148
DFT formation energy, eV per atom: -0.562

***

Record 9
Entry from the Materials Project database: a relaxed structure of CrBr3 (GGA-PBE).

```
CrBr3
1.0
1.4678 3.2230 -5.3860
1.4678 -3.2230 -5.3860
-5.6097 0.0000 -5.3860
Cr Br
2 6
Direct
0.6666 0.6666 0.0003
0.3334 0.3334 0.9997
0.9301 0.2882 0.2104
0.0699 0.7118 0.7896
0.7118 0.4287 0.7896
0.2882 0.5713 0.2104
0.5713 0.9301 0.2104
0.4287 0.0699 0.7896
```

SG: No. 148
Electronic total energy, eV per atom: -4.458
DFT formation energy, eV per atom: -1.217

***

Record 10
Entry from the Materials Project database: a relaxed structure of Zn (GGA-PBE).

```
Zn
1.0
0.0000 -1.9648 -1.9648
-1.9648 -1.9648 0.0000
-1.9648 0.0000 -1.9648
Zn
1
Direct
0.0000 0.0000 0.0000
```

SG: No. 225
Total magnetization, μB per formula unit: 0.000
Electronic total energy, eV per atom: -1.255
Excess energy over the best structure of this formula in the dataset, meV/atom: 5
DFT formation energy, eV per atom: 0.005

***

Record 11
Entry from the Materials Project database: a relaxed structure of LaSi2Rh3 (GGA-PBE).

```
LaSi2Rh3
1.0
-3.0134 -1.7000 -1.2670
-2.4857 5.0041 -0.8024
3.0537 -2.3301 -4.1363
La Si Rh
1 2 3
Direct
0.0000 0.0000 0.0000
0.0000 0.3333 0.6667
0.0000 0.6667 0.3333
0.5000 0.5000 0.0000
0.5000 0.5000 0.5000
0.5000 0.0000 0.5000
```

SG: No. 191
Electronic total energy, eV per atom: -7.336
DFT formation energy, eV per atom: -1.023

***

Record 12
Entry from the Materials Project database: a relaxed structure of Mg2Sn (GGA-PBE).

```
Mg2Sn
1.0
-7.0152 4.2075 0.5660
5.8773 -5.1501 2.4841
2.6407 4.0999 2.2523
Mg Sn
4 2
Direct
0.5543 0.4457 0.7500
0.8899 0.1101 0.7500
0.1101 0.8899 0.2500
0.4457 0.5543 0.2500
0.7804 0.2196 0.2500
0.2196 0.7804 0.7500
```

SG: No. 63
Electronic total energy, eV per atom: -2.439
DFT formation energy, eV per atom: -0.035

***

Record 13
Entry from the Materials Project database: a relaxed structure of TaNbN2 (GGA-PBE).

```
TaNbN2
1.0
5.1920 -1.5720 0.0000
5.1920 1.5720 0.0000
4.7160 0.0000 2.6809
Nb Ta N
1 1 2
Direct
0.5000 0.5000 0.5000
0.0000 0.0000 0.0000
0.2541 0.2541 0.2541
0.7459 0.7459 0.7459
```

SG: No. 166
Total magnetization, μB per formula unit: 0.000
Electronic total energy, eV per atom: -10.529
DFT formation energy, eV per atom: -1.051